MgCrO9 | the Materials Project database | GGA+U | optimized geometry; formation energy = -0.632 eV/atom; crystal system = triclinic; space group = P-1; relative energy among the computed polymorphs = 0.0000 eV/atom
1.0
0.443 6.070 -1.662
-7.586 -4.750 -7.719
-3.481 0.014 3.235
Mg Cr O
2 2 18
Direct
0.000 0.000 0.000 Mg
0.500 0.500 0.000 Mg
0.976 0.719 0.304 Cr
0.024 0.281 0.696 Cr
0.068 0.850 0.184 O
0.932 0.150 0.816 O
0.716 0.653 0.132 O
0.284 0.347 0.868 O
0.151 0.611 0.294 O
0.849 0.389 0.706 O
0.997 0.726 0.645 O
0.003 0.274 0.355 O
0.241 0.004 0.734 O
0.759 0.996 0.266 O
0.732 0.894 0.674 O
0.268 0.106 0.326 O
0.523 0.546 0.588 O
0.477 0.454 0.412 O
0.129 0.563 0.034 O
0.871 0.437 0.966 O
0.640 0.911 0.400 O
0.360 0.089 0.600 O